First-principles (r²SCAN) data for a relaxed structure of La3Cd, as listed in the Materials Project.

Cell lengths 5.0725, 5.0726, 5.0725 Å; angles 90.00, 90.00, 90.00 degrees
Sites, in units of the cell vectors:
Cd  0.0000  0.0000  0.0000
La  0.5000  0.0000  0.5000
La  0.0000  0.5000  0.5000
La  0.5000  0.5000  0.0000

## Properties
Its space group is Pm-3m. For the formation energy, the calculation gives -14.9 kJ per mole of atoms.

---

First-principles (r²SCAN) data for a relaxed structure of Np2InPt2, as listed in the Materials Project.

Cell lengths 7.7755, 7.7755, 3.7568 Å; angles 90.00, 90.00, 90.00 degrees
Sites, in units of the cell vectors:
Pt  0.1298  0.3702  0.0000
Pt  0.8702  0.6298  0.0000
Pt  0.6298  0.1298  0.0000
Pt  0.3702  0.8702  0.0000
In  0.5000  0.5000  0.0000
In  0.0000  0.0000  0.0000
Np  0.8276  0.3276  0.5000
Np  0.3276  0.1724  0.5000
Np  0.1724  0.6724  0.5000
Np  0.6724  0.8276  0.5000

## Properties
Its space group is P4/mbm. For the formation energy, the calculation gives -90.9 kJ per mole of atoms.

---

First-principles (r²SCAN) data for a relaxed structure of Ta2PdS6, as listed in the Materials Project.

Cell lengths 3.2932, 6.4003, 9.3206 Å; angles 78.40, 79.82, 75.09 degrees
Sites, in units of the cell vectors:
S  0.6639  0.2113  0.4609
S  0.7878  0.2941  0.1303
S  0.0166  0.2058  0.7610
S  0.3361  0.7887  0.5391
S  0.9834  0.7942  0.2390
S  0.2122  0.7059  0.8697
Ta  0.6840  0.9268  0.7051
Ta  0.3160  0.0732  0.2949
Pd  0.0000  0.0000  0.0000

## Properties
Its space group is C2/m. For the formation energy, the calculation gives -92.3 kJ per mole of atoms.

---

First-principles (r²SCAN) data for a relaxed structure of SiI4, as listed in the Materials Project.

Cell lengths 12.2723, 12.2723, 12.2723 Å; angles 90.00, 90.00, 90.00 degrees
Sites, in units of the cell vectors:
I  0.9766  0.5092  0.2541
I  0.4766  0.9908  0.7459
I  0.5234  0.0092  0.2541
I  0.0092  0.2459  0.0234
I  0.4766  0.5092  0.2459
I  0.2459  0.4766  0.5092
I  0.7541  0.7541  0.7541
I  0.7541  0.9766  0.9908
I  0.2541  0.7541  0.7459
I  0.9908  0.7541  0.9766
I  0.7541  0.5234  0.4908
I  0.0234  0.0092  0.2459
I  0.7459  0.2541  0.7541
I  0.4908  0.7541  0.5234
I  0.5234  0.4908  0.7541
I  0.7459  0.4766  0.9908
I  0.7541  0.7459  0.2541
I  0.4908  0.7459  0.0234
I  0.9908  0.7459  0.4766
I  0.2541  0.5234  0.0092
I  0.9766  0.9908  0.7541
I  0.2459  0.0234  0.0092
I  0.2541  0.9766  0.5092
I  0.7459  0.2459  0.2541
I  0.5092  0.2541  0.9766
I  0.7459  0.0234  0.4908
I  0.2459  0.2459  0.2459
I  0.2459  0.2541  0.7459
I  0.0234  0.4908  0.7459
I  0.2541  0.7459  0.2459
I  0.0092  0.2541  0.5234
I  0.5092  0.2459  0.4766
Si  0.6312  0.1312  0.3688
Si  0.8688  0.8688  0.8688
Si  0.1312  0.3688  0.6312
Si  0.3688  0.8688  0.6312
Si  0.1312  0.1312  0.1312
Si  0.6312  0.3688  0.8688
Si  0.3688  0.6312  0.1312
Si  0.8688  0.6312  0.3688

## Properties
Its space group is Pa-3. For the formation energy, the calculation gives -41.7 kJ per mole of atoms.